1.
The following is a GGA-PBE calculation of a geometry-optimized KMg2P2H31O23 structure, from the Materials Project database.

Geometry as CIF:
```
data_KMg2P2H31O23
_chemical_formula_sum 'K1 Mg2 P2 H31 O23'
_cell_length_a 6.6026
_cell_length_b 6.8110
_cell_length_c 12.2845
_cell_angle_alpha 85.02
_cell_angle_beta 81.76
_cell_angle_gamma 88.81
_symmetry_space_group_name_H-M 'P 1'
_symmetry_Int_Tables_number 1
loop_
_symmetry_equiv_pos_as_xyz
'x,y,z'
loop_
_atom_site_label
_atom_site_fract_x
_atom_site_fract_y
_atom_site_fract_z
_atom_site_occupancy
K1 0.0000 0.0000 0.0000 1
Mg1 0.0139 0.5507 0.7297 1
Mg2 0.5611 0.0383 0.2844 1
P1 0.4296 0.4976 0.9884 1
P2 0.6426 0.5872 0.5943 1
H1 0.0059 0.5344 0.0959 1
H2 0.0206 0.3740 0.9239 1
H3 0.1003 0.5291 0.4785 1
H4 0.1066 0.8819 0.6185 1
H5 0.1128 0.0304 0.4203 1
H6 0.1149 0.2035 0.6578 1
H7 0.2460 0.7522 0.3599 1
H8 0.2596 0.8450 0.2370 1
H9 0.3209 0.3053 0.6845 1
H10 0.3217 0.3676 0.3219 1
H11 0.3296 0.8040 0.6419 1
H12 0.3456 0.5257 0.4636 1
H13 0.4313 0.4089 0.1983 1
H14 0.4342 0.8796 0.8695 1
H15 0.4481 0.1024 0.8994 1
H16 0.5260 0.5302 0.7772 1
H17 0.5284 0.8439 0.0967 1
H18 0.5346 0.0870 0.0647 1
H19 0.5628 0.2313 0.4732 1
H20 0.5652 0.9921 0.5072 1
H21 0.6660 0.6718 0.3815 1
H22 0.6806 0.1855 0.7157 1
H23 0.6941 0.9738 0.6763 1
H24 0.7538 0.5615 0.1167 1
H25 0.7610 0.6857 0.8849 1
H26 0.7829 0.3290 0.9121 1
H27 0.7914 0.7001 0.2612 1
H28 0.8677 0.3170 0.2093 1
H29 0.9087 0.1045 0.4859 1
H30 0.9642 0.1371 0.2753 1
H31 0.9884 0.6472 0.9203 1
O1 0.0568 0.0986 0.4852 1
O2 0.1772 0.7930 0.6680 1
O3 0.1821 0.3268 0.6661 1
O4 0.1912 0.4890 0.9948 1
O5 0.2239 0.5473 0.4227 1
O6 0.2682 0.8835 0.3110 1
O7 0.3568 0.0048 0.8780 1
O8 0.3991 0.3020 0.2595 1
O9 0.4888 0.5910 0.0914 1
O10 0.5226 0.6278 0.8818 1
O11 0.5327 0.2902 0.9807 1
O12 0.5333 0.4597 0.7038 1
O13 0.5646 0.8015 0.6012 1
O14 0.5667 0.9746 0.1189 1
O15 0.5701 0.0987 0.4452 1
O16 0.5803 0.4933 0.4945 1
O17 0.7128 0.7730 0.3199 1
O18 0.7755 0.0752 0.7025 1
O19 0.8574 0.1707 0.2294 1
O20 0.8727 0.5713 0.5985 1
O21 0.8807 0.5517 0.1527 1
O22 0.9116 0.7226 0.8672 1
O23 0.9278 0.3307 0.8730 1
```

Summary:
Total energy after the MP2020 corrections (eV per atom): -5.545
Total magnetic moment (Bohr magnetons per cell): 0.0
Crystal system: triclinic

***

2.
The following is a GGA-PBE calculation of a geometry-optimized CsInCu6O8 structure, from the Materials Project database.

Geometry as CIF:
```
data_CsInCu6O8
_chemical_formula_sum 'Cs4 In4 Cu24 O32'
_cell_length_a 9.3909
_cell_length_b 9.3909
_cell_length_c 9.3909
_cell_angle_alpha 90.00
_cell_angle_beta 90.00
_cell_angle_gamma 90.00
_symmetry_space_group_name_H-M 'F m -3 m'
_symmetry_Int_Tables_number 225
_symmetry_space_group_name_Hall '-F 4 2 3'
loop_
_atom_site_label
_atom_site_fract_x
_atom_site_fract_y
_atom_site_fract_z
_atom_site_occupancy
Cs1 0.0000 0.0000 0.0000 1
In1 0.0000 0.0000 0.5000 1
Cu1 0.0000 0.2500 0.2500 1
O1 0.1425 0.1425 0.3575 1
```

Summary:
Total energy after the MP2020 corrections (eV per atom): -5.346
Total magnetic moment (Bohr magnetons per cell): 0.1
Crystal system: cubic

***

3.
The following is a GGA-PBE calculation of a geometry-optimized H3S structure, from the Materials Project database.

Geometry as CIF:
```
data_H3S
_chemical_formula_sum 'H48 S16'
_cell_length_a 12.6155
_cell_length_b 12.9453
_cell_length_c 5.2823
_cell_angle_alpha 90.00
_cell_angle_beta 90.00
_cell_angle_gamma 90.00
_symmetry_space_group_name_H-M 'C c c m'
_symmetry_Int_Tables_number 66
_symmetry_space_group_name_Hall '-C 2 2c'
loop_
_atom_site_label
_atom_site_fract_x
_atom_site_fract_y
_atom_site_fract_z
_atom_site_occupancy
H1 0.0000 0.0000 0.1791 1
H2 0.0297 0.5000 0.2500 1
H3 0.1526 0.3082 0.0000 1
H4 0.1678 0.1665 0.2480 1
H5 0.1863 0.3426 0.5000 1
S1 0.1043 0.2147 0.0000 1
S2 0.2202 0.1059 0.5000 1
```

Summary:
Total energy after the MP2020 corrections (eV per atom): -3.721
Total magnetic moment (Bohr magnetons per cell): 0.0
Crystal system: orthorhombic

***

4.
The following is a GGA-PBE calculation of a geometry-optimized Fe4Se3N2 structure, from the Materials Project database.

Geometry as CIF:
```
data_Fe4Se3N2
_chemical_formula_sum 'Fe8 Se6 N4'
_cell_length_a 12.3989
_cell_length_b 3.2948
_cell_length_c 8.7465
_cell_angle_alpha 90.00
_cell_angle_beta 133.09
_cell_angle_gamma 90.00
_symmetry_space_group_name_H-M 'C 1 2/m 1'
_symmetry_Int_Tables_number 12
loop_
_symmetry_equiv_pos_as_xyz
'x,y,z'
'-x,-y,-z'
'-x,y,-z'
'x,-y,z'
'x+1/2,y+1/2,z'
'-x+1/2,-y+1/2,-z'
'-x+1/2,y+1/2,-z'
'x+1/2,-y+1/2,z'
loop_
_atom_site_label
_atom_site_fract_x
_atom_site_fract_y
_atom_site_fract_z
_atom_site_occupancy
Fe1 0.1952 0.0000 0.3651 1
Fe2 0.2204 0.5000 0.1517 1
Se1 0.0000 0.0000 0.0000 1
Se2 0.1210 0.5000 0.7958 1
N1 0.2164 0.0000 0.5918 1
```

Summary:
Total energy after the MP2020 corrections (eV per atom): -6.870
Total magnetic moment (Bohr magnetons per cell): 2.9
Crystal system: monoclinic

***

5.
The following is a GGA-PBE calculation of a geometry-optimized H2Ru6C18SO20 structure, from the Materials Project database.

Geometry as CIF:
```
data_H2Ru6C18SO20
_chemical_formula_sum 'H4 Ru12 C36 S2 O40'
_cell_length_a 9.6890
_cell_length_b 12.4055
_cell_length_c 14.4437
_cell_angle_alpha 71.81
_cell_angle_beta 75.00
_cell_angle_gamma 70.31
_symmetry_space_group_name_H-M 'P -1'
_symmetry_Int_Tables_number 2
loop_
_symmetry_equiv_pos_as_xyz
'x,y,z'
'-x,-y,-z'
loop_
_atom_site_label
_atom_site_fract_x
_atom_site_fract_y
_atom_site_fract_z
_atom_site_occupancy
H1 0.0622 0.4093 0.4296 1
H2 0.0978 0.3873 0.5803 1
Ru1 0.0578 0.2178 0.8329 1
Ru2 0.0942 0.3061 0.2948 1
Ru3 0.0937 0.4516 0.7460 1
Ru4 0.1535 0.6299 0.2938 1
Ru5 0.3330 0.3866 0.3332 1
Ru6 0.3996 0.1722 0.2737 1
C1 0.0067 0.9208 0.1381 1
C2 0.0487 0.1625 0.3646 1
C3 0.0859 0.2739 0.1785 1
C4 0.0923 0.7274 0.0570 1
C5 0.1066 0.7516 0.3591 1
C6 0.1289 0.4508 0.8675 1
C7 0.1385 0.6169 0.6774 1
C8 0.1880 0.1909 0.7104 1
C9 0.2182 0.1569 0.9071 1
C10 0.2955 0.5248 0.3998 1
C11 0.2991 0.3823 0.7082 1
C12 0.2992 0.6938 0.2029 1
C13 0.3467 0.0973 0.4143 1
C14 0.3860 0.0418 0.2352 1
C15 0.3900 0.8717 0.7283 1
C16 0.4203 0.2691 0.1365 1
C17 0.4542 0.2903 0.4291 1
C18 0.4978 0.4213 0.2409 1
S1 0.1796 0.4866 0.1982 1
O1 0.0121 0.0771 0.4031 1
O2 0.0267 0.4430 0.6169 1
O3 0.0437 0.0060 0.1195 1
O4 0.0825 0.2494 0.1079 1
O5 0.0828 0.8244 0.4003 1
O6 0.1394 0.3347 0.4224 1
O7 0.1508 0.4513 0.9426 1
O8 0.1797 0.7057 0.9892 1
O9 0.2447 0.6515 0.6448 1
O10 0.2626 0.8967 0.7314 1
O11 0.2681 0.1724 0.6386 1
O12 0.3165 0.1162 0.9504 1
O13 0.3185 0.0467 0.4952 1
O14 0.3319 0.5394 0.4657 1
O15 0.3776 0.9617 0.2141 1
O16 0.3881 0.7346 0.1452 1
O17 0.4037 0.5557 0.8195 1
O18 0.4264 0.3439 0.6853 1
O19 0.4411 0.3186 0.0544 1
O20 0.4728 0.7660 0.5110 1
```

Summary:
Total energy after the MP2020 corrections (eV per atom): -8.056
Total magnetic moment (Bohr magnetons per cell): 0.0
Crystal system: triclinic

***

6.
The following is a GGA-PBE calculation of a geometry-optimized Mn2ZnS5 structure, from the Materials Project database.

Geometry as CIF:
```
data_Mn2ZnS5
_chemical_formula_sum 'Mn4 Zn2 S10'
_cell_length_a 3.6539
_cell_length_b 14.0178
_cell_length_c 6.2252
_cell_angle_alpha 90.00
_cell_angle_beta 90.00
_cell_angle_gamma 90.00
_symmetry_space_group_name_H-M 'P m m n'
_symmetry_Int_Tables_number 59
loop_
_symmetry_equiv_pos_as_xyz
'x,y,z'
'-x,-y,-z'
'-x+1/2,-y+1/2,z'
'x+1/2,y+1/2,-z'
'x+1/2,-y,-z'
'-x+1/2,y,z'
'-x,y+1/2,-z'
'x,-y+1/2,z'
loop_
_atom_site_label
_atom_site_fract_x
_atom_site_fract_y
_atom_site_fract_z
_atom_site_occupancy
Mn1 0.2500 0.1026 0.0527 1
Zn1 0.2500 0.7500 0.5480 1
S1 0.2500 0.1391 0.4066 1
S2 0.2500 0.2500 0.9038 1
S3 0.2500 0.5606 0.1538 1
```

Summary:
Total energy after the MP2020 corrections (eV per atom): -5.675
Total magnetic moment (Bohr magnetons per cell): 12.0
Crystal system: orthorhombic

***

7.
The following is a GGA-PBE calculation of a geometry-optimized Na9Ca5TaSi3S6O36 structure, from the Materials Project database.

Geometry as CIF:
```
data_Na9Ca5TaSi3S6O36
_chemical_formula_sum 'Na36 Ca20 Ta4 Si12 S24 O144'
_cell_length_a 16.1885
_cell_length_b 9.4116
_cell_length_c 23.4487
_cell_angle_alpha 90.00
_cell_angle_beta 90.44
_cell_angle_gamma 90.00
_symmetry_space_group_name_H-M 'C 1 c 1'
_symmetry_Int_Tables_number 9
loop_
_symmetry_equiv_pos_as_xyz
'x,y,z'
'x,-y,z+1/2'
'x+1/2,y+1/2,z'
'x+1/2,-y+1/2,z+1/2'
loop_
_atom_site_label
_atom_site_fract_x
_atom_site_fract_y
_atom_site_fract_z
_atom_site_occupancy
Na1 0.0002 0.0238 0.0758 1
Na2 0.0000 0.2940 0.0000 1
Na3 0.1396 0.1963 0.1521 1
Na4 0.1501 0.4946 0.7486 1
Na5 0.1679 0.1502 0.4860 1
Na6 0.3174 0.0080 0.4046 1
Na7 0.3337 0.3413 0.9931 1
Na8 0.3387 0.3697 0.6527 1
Na9 0.4981 0.1376 0.8176 1
Ca1 0.9996 0.0050 0.7293 1
Ca2 0.0004 0.0096 0.9280 1
Ca3 0.1622 0.4951 0.0964 1
Ca4 0.1783 0.4929 0.9035 1
Ca5 0.3363 0.0032 0.2659 1
Ta1 0.3394 0.0072 0.5661 1
Si1 0.1706 0.1887 0.0049 1
Si2 0.3180 0.3463 0.5068 1
Si3 0.4854 0.1490 0.6716 1
S1 0.0017 0.3128 0.8353 1
S2 0.0089 0.3529 0.4985 1
S3 0.1500 0.1600 0.3314 1
S4 0.1902 0.1402 0.6621 1
S5 0.3352 0.2916 0.1617 1
S6 0.3477 0.3470 0.8311 1
O1 0.0011 0.2152 0.7861 1
O2 0.0048 0.2343 0.8902 1
O3 0.0399 0.4244 0.4470 1
O4 0.0629 0.3737 0.5482 1
O5 0.0744 0.4105 0.8314 1
O6 0.0782 0.4167 0.1682 1
O7 0.0984 0.0709 0.9921 1
O8 0.1029 0.1101 0.2803 1
O9 0.1088 0.1130 0.3847 1
O10 0.1101 0.0642 0.6586 1
O11 0.1413 0.2772 0.0608 1
O12 0.1500 0.3186 0.3298 1
O13 0.1817 0.2942 0.6569 1
O14 0.2003 0.2964 0.9549 1
O15 0.2352 0.1021 0.3311 1
O16 0.2354 0.1045 0.7144 1
O17 0.2407 0.0844 0.6112 1
O18 0.2488 0.3462 0.4561 1
O19 0.2574 0.0880 0.0180 1
O20 0.2613 0.3839 0.1592 1
O21 0.2641 0.4101 0.8291 1
O22 0.2840 0.4128 0.5656 1
O23 0.3294 0.2019 0.2126 1
O24 0.3373 0.1666 0.5174 1
O25 0.3369 0.1972 0.1091 1
O26 0.3430 0.1877 0.8328 1
O27 0.3926 0.3900 0.8840 1
O28 0.3943 0.3936 0.7800 1
O29 0.4100 0.4106 0.4941 1
O30 0.4106 0.3808 0.1614 1
O31 0.4213 0.0796 0.6175 1
O32 0.4241 0.0793 0.0104 1
O33 0.4256 0.0960 0.3360 1
O34 0.4414 0.1082 0.7307 1
O35 0.4854 0.3232 0.6594 1
O36 0.4924 0.2998 0.9902 1
```

Summary:
Total energy after the MP2020 corrections (eV per atom): -6.805
Total magnetic moment (Bohr magnetons per cell): 0.0
Crystal system: monoclinic

***

8.
The following is a GGA-PBE calculation of a geometry-optimized MgSi2 structure, from the Materials Project database.

Geometry as CIF:
```
data_MgSi2
_chemical_formula_sum 'Mg4 Si8'
_cell_length_a 3.7742
_cell_length_b 5.5664
_cell_length_c 11.7254
_cell_angle_alpha 103.05
_cell_angle_beta 91.21
_cell_angle_gamma 108.75
_symmetry_space_group_name_H-M 'P 1'
_symmetry_Int_Tables_number 1
loop_
_symmetry_equiv_pos_as_xyz
'x,y,z'
loop_
_atom_site_label
_atom_site_fract_x
_atom_site_fract_y
_atom_site_fract_z
_atom_site_occupancy
Mg1 0.0000 0.0000 0.0000 1
Mg2 0.0569 0.7592 0.2676 1
Mg3 0.4539 0.5639 0.4488 1
Mg4 0.6121 0.2427 0.7884 1
Si1 0.1514 0.9520 0.5344 1
Si2 0.2852 0.5578 0.9466 1
Si3 0.3260 0.3107 0.2186 1
Si4 0.5381 0.7453 0.7880 1
Si5 0.7275 0.4445 0.0525 1
Si6 0.7566 0.1629 0.3136 1
Si7 0.7832 0.2231 0.5303 1
Si8 0.9932 0.6552 0.6595 1
```

Summary:
Total energy after the MP2020 corrections (eV per atom): -3.987
Total magnetic moment (Bohr magnetons per cell): 0.0
Crystal system: triclinic

***

9.
The following is a GGA-PBE calculation of a geometry-optimized V2Cr3Si3 structure, from the Materials Project database.

Geometry as CIF:
```
data_V2Cr3Si3
_chemical_formula_sum 'V8 Cr12 Si12'
_cell_length_a 9.1607
_cell_length_b 9.2346
_cell_length_c 4.6593
_cell_angle_alpha 90.00
_cell_angle_beta 90.00
_cell_angle_gamma 90.00
_symmetry_space_group_name_H-M 'I b a m'
_symmetry_Int_Tables_number 72
_symmetry_space_group_name_Hall '-I 2 2c'
loop_
_atom_site_label
_atom_site_fract_x
_atom_site_fract_y
_atom_site_fract_z
_atom_site_occupancy
V1 0.2299 0.0779 0.0000 1
Cr1 0.0000 0.5000 0.2500 1
Cr2 0.0763 0.2244 0.5000 1
Si1 0.0000 0.0000 0.2500 1
Si2 0.1640 0.3341 0.0000 1
```

Summary:
Total energy after the MP2020 corrections (eV per atom): -8.327
Total magnetic moment (Bohr magnetons per cell): 0.0
Crystal system: orthorhombic

***

10.
The following is a GGA-PBE calculation of a geometry-optimized SrAg2Sn2 structure, from the Materials Project database.

Geometry as CIF:
```
data_SrAg2Sn2
_chemical_formula_sum 'Sr2 Ag4 Sn4'
_cell_length_a 4.7669
_cell_length_b 4.7669
_cell_length_c 11.6585
_cell_angle_alpha 90.00
_cell_angle_beta 90.00
_cell_angle_gamma 90.00
_symmetry_space_group_name_H-M 'I 4/m m m'
_symmetry_Int_Tables_number 139
_symmetry_space_group_name_Hall '-I 4 2'
loop_
_atom_site_label
_atom_site_fract_x
_atom_site_fract_y
_atom_site_fract_z
_atom_site_occupancy
Sr1 0.0000 0.0000 0.0000 1
Ag1 0.0000 0.5000 0.2500 1
Sn1 0.0000 0.0000 0.3777 1
```

Summary:
Crystal system: tetragonal

***

no.,formation energy (eV per formula unit),calculated total energy (eV/f.u.)
1,-93.0,-311.34
2,-17.7,-80.04
3,-0.6,-14.38
4,-0.8,-61.11
5,-47.0,-364.40
6,-5.1,-42.89
7,-155.3,-383.54
8,0.5,-12.10
9,-3.2,-66.83
10,-1.8,-17.16